The following is a PBE with a Hubbard U calculation of a relaxed structure of MnBePO5, from Materials Project.

- Space-group type: No. 14
- Total magnetization: 4.0 μB per formula unit
- Final energy: -7.2604 eV/atom

Cell and atoms, written as POSCAR:
```
MnBePO5
1.0
4.7676 0.0000 0.0000
0.0000 14.0642 0.0000
-1.3045 0.0000 5.3028
Mn Be P O
4 4 4 20
Direct
0.1154 0.0734 0.2463
0.1154 0.4266 0.7463
0.8846 0.5734 0.2537
0.8846 0.9266 0.7537
0.2195 0.2411 0.0523
0.2195 0.2589 0.5523
0.7805 0.7411 0.4477
0.7805 0.7589 0.9477
0.4730 0.1035 0.7874
0.4730 0.3965 0.2874
0.5270 0.6035 0.7126
0.5270 0.8965 0.2126
0.0608 0.2054 0.2844
0.0608 0.2946 0.7844
0.2316 0.5525 0.6097
0.2316 0.9475 0.1097
0.2606 0.0342 0.6106
0.2606 0.4658 0.1106
0.3407 0.1320 0.0130
0.3407 0.3680 0.5130
0.4922 0.6951 0.8473
0.4922 0.8049 0.3473
0.5078 0.1951 0.6527
0.5078 0.3049 0.1527
0.6593 0.6320 0.4870
0.6593 0.8680 0.9870
0.7394 0.5342 0.8894
0.7394 0.9658 0.3894
0.7684 0.0525 0.8903
0.7684 0.4475 0.3903
0.9392 0.7054 0.2156
0.9392 0.7946 0.7156
```